1.
# KLiO3, relaxed, DFT PBE
data_KLiO3
_chemical_formula_sum 'K1 Li1 O3'
_cell_length_a 4.049
_cell_length_b 4.049
_cell_length_c 4.049
_cell_angle_alpha 90.00
_cell_angle_beta 90.00
_cell_angle_gamma 90.00
_space_group_name_H-M_alt 'P 1'
_space_group_IT_number 1
_space_group_name_Hall 'P 1'
loop_
_atom_site_label
_atom_site_type_symbol
_atom_site_fract_x
_atom_site_fract_y
_atom_site_fract_z
_atom_site_occupancy
K1 K 0.000 0.000 0.000 1
Li1 Li 0.500 0.500 0.500 1
O1 O 0.000 0.500 0.500 1
O2 O 0.500 0.000 0.500 1
O3 O 0.500 0.500 0.000 1
# Spin magnetization in μB per formula unit: 4.00
# Formation energy in eV per atom: -0.754

***

2.
# KLiP2O6, relaxed, DFT PBE
data_KLiP2O6
_chemical_formula_sum 'K8 Li8 P16 O48'
_cell_length_a 9.893
_cell_length_b 9.893
_cell_length_c 12.015
_cell_angle_alpha 90.19
_cell_angle_beta 90.19
_cell_angle_gamma 90.32
_space_group_name_H-M_alt 'P 1'
_space_group_IT_number 1
_space_group_name_Hall 'P 1'
loop_
_atom_site_label
_atom_site_type_symbol
_atom_site_fract_x
_atom_site_fract_y
_atom_site_fract_z
_atom_site_occupancy
K1 K 0.001 0.254 0.471 1
K2 K 0.221 0.469 0.956 1
K3 K 0.254 0.001 0.971 1
K4 K 0.469 0.221 0.456 1
K5 K 0.531 0.779 0.544 1
K6 K 0.746 0.999 0.029 1
K7 K 0.779 0.531 0.044 1
K8 K 0.999 0.746 0.529 1
Li1 Li 0.117 0.744 0.068 1
Li2 Li 0.228 0.388 0.628 1
Li3 Li 0.256 0.883 0.432 1
Li4 Li 0.388 0.228 0.128 1
Li5 Li 0.612 0.772 0.872 1
Li6 Li 0.744 0.117 0.568 1
Li7 Li 0.772 0.612 0.372 1
Li8 Li 0.883 0.256 0.932 1
P1 P 0.034 0.966 0.250 1
P2 P 0.052 0.531 0.252 1
P3 P 0.054 0.247 0.163 1
P4 P 0.247 0.054 0.663 1
P5 P 0.289 0.551 0.401 1
P6 P 0.449 0.711 0.099 1
P7 P 0.469 0.948 0.248 1
P8 P 0.480 0.520 0.750 1
P9 P 0.520 0.480 0.250 1
P10 P 0.531 0.052 0.752 1
P11 P 0.551 0.289 0.901 1
P12 P 0.711 0.449 0.599 1
P13 P 0.753 0.946 0.337 1
P14 P 0.946 0.753 0.837 1
P15 P 0.948 0.469 0.748 1
P16 P 0.966 0.034 0.750 1
O1 O 0.032 0.368 0.254 1
O2 O 0.034 0.416 0.656 1
O3 O 0.036 0.580 0.134 1
O4 O 0.053 0.129 0.258 1
O5 O 0.067 0.765 0.911 1
O6 O 0.085 0.913 0.359 1
O7 O 0.087 0.915 0.141 1
O8 O 0.129 0.053 0.758 1
O9 O 0.191 0.258 0.111 1
O10 O 0.210 0.550 0.282 1
O11 O 0.235 0.933 0.589 1
O12 O 0.258 0.191 0.611 1
O13 O 0.258 0.425 0.465 1
O14 O 0.273 0.686 0.458 1
O15 O 0.314 0.727 0.042 1
O16 O 0.334 0.479 0.741 1
O17 O 0.368 0.032 0.754 1
O18 O 0.416 0.034 0.156 1
O19 O 0.420 0.964 0.366 1
O20 O 0.425 0.258 0.965 1
O21 O 0.445 0.548 0.357 1
O22 O 0.450 0.790 0.218 1
O23 O 0.452 0.555 0.143 1
O24 O 0.479 0.334 0.241 1
O25 O 0.521 0.666 0.759 1
O26 O 0.548 0.445 0.857 1
O27 O 0.550 0.210 0.782 1
O28 O 0.555 0.452 0.643 1
O29 O 0.575 0.742 0.035 1
O30 O 0.580 0.036 0.634 1
O31 O 0.584 0.966 0.844 1
O32 O 0.632 0.968 0.246 1
O33 O 0.666 0.521 0.259 1
O34 O 0.686 0.273 0.958 1
O35 O 0.727 0.314 0.542 1
O36 O 0.742 0.575 0.535 1
O37 O 0.742 0.809 0.389 1
O38 O 0.765 0.067 0.411 1
O39 O 0.790 0.450 0.718 1
O40 O 0.809 0.742 0.889 1
O41 O 0.871 0.947 0.242 1
O42 O 0.913 0.085 0.859 1
O43 O 0.915 0.087 0.641 1
O44 O 0.933 0.235 0.089 1
O45 O 0.947 0.871 0.742 1
O46 O 0.964 0.420 0.866 1
O47 O 0.966 0.584 0.344 1
O48 O 0.968 0.632 0.746 1
# Spin magnetization in μB per formula unit: 0.00
# Formation energy in eV per atom: -2.703
# Relative energy among the computed polymorphs in eV/atom: 0.0000

***

3.
# KLiP2O6, relaxed, DFT PBE
data_KLiP2O6
_chemical_formula_sum 'K8 Li8 P16 O48'
_cell_length_a 13.990
_cell_length_b 5.617
_cell_length_c 15.688
_cell_angle_alpha 90.00
_cell_angle_beta 108.39
_cell_angle_gamma 90.00
_space_group_name_H-M_alt 'P 1'
_space_group_IT_number 1
_space_group_name_Hall 'P 1'
loop_
_atom_site_label
_atom_site_type_symbol
_atom_site_fract_x
_atom_site_fract_y
_atom_site_fract_z
_atom_site_occupancy
K1 K 0.124 0.167 0.360 1
K2 K 0.124 0.333 0.860 1
K3 K 0.375 0.175 0.633 1
K4 K 0.375 0.325 0.133 1
K5 K 0.625 0.675 0.867 1
K6 K 0.625 0.825 0.367 1
K7 K 0.876 0.667 0.140 1
K8 K 0.876 0.833 0.640 1
Li1 Li 0.070 0.195 0.110 1
Li2 Li 0.070 0.305 0.610 1
Li3 Li 0.427 0.184 0.863 1
Li4 Li 0.427 0.316 0.363 1
Li5 Li 0.573 0.684 0.637 1
Li6 Li 0.573 0.816 0.137 1
Li7 Li 0.930 0.695 0.390 1
Li8 Li 0.930 0.805 0.890 1
P1 P 0.144 0.692 0.193 1
P2 P 0.144 0.808 0.693 1
P3 P 0.160 0.668 0.520 1
P4 P 0.160 0.832 0.020 1
P5 P 0.354 0.684 0.807 1
P6 P 0.354 0.816 0.307 1
P7 P 0.358 0.651 0.485 1
P8 P 0.358 0.849 0.985 1
P9 P 0.642 0.151 0.015 1
P10 P 0.642 0.349 0.515 1
P11 P 0.646 0.184 0.693 1
P12 P 0.646 0.316 0.193 1
P13 P 0.840 0.168 0.980 1
P14 P 0.840 0.332 0.480 1
P15 P 0.856 0.192 0.307 1
P16 P 0.856 0.308 0.807 1
O1 O 0.065 0.616 0.673 1
O2 O 0.065 0.884 0.173 1
O3 O 0.066 0.720 0.962 1
O4 O 0.066 0.780 0.462 1
O5 O 0.116 0.059 0.706 1
O6 O 0.116 0.441 0.206 1
O7 O 0.166 0.096 0.039 1
O8 O 0.166 0.404 0.539 1
O9 O 0.201 0.689 0.116 1
O10 O 0.201 0.811 0.616 1
O11 O 0.233 0.722 0.782 1
O12 O 0.233 0.778 0.282 1
O13 O 0.247 0.746 0.978 1
O14 O 0.247 0.754 0.478 1
O15 O 0.349 0.098 0.949 1
O16 O 0.349 0.402 0.449 1
O17 O 0.376 0.058 0.277 1
O18 O 0.376 0.442 0.777 1
O19 O 0.383 0.663 0.916 1
O20 O 0.383 0.837 0.416 1
O21 O 0.404 0.600 0.284 1
O22 O 0.404 0.900 0.784 1
O23 O 0.428 0.705 0.577 1
O24 O 0.428 0.795 0.077 1
O25 O 0.572 0.205 0.923 1
O26 O 0.572 0.295 0.423 1
O27 O 0.596 0.100 0.216 1
O28 O 0.596 0.400 0.716 1
O29 O 0.617 0.163 0.584 1
O30 O 0.617 0.337 0.084 1
O31 O 0.624 0.558 0.223 1
O32 O 0.624 0.942 0.723 1
O33 O 0.651 0.598 0.551 1
O34 O 0.651 0.902 0.051 1
O35 O 0.753 0.246 0.522 1
O36 O 0.753 0.254 0.022 1
O37 O 0.767 0.222 0.718 1
O38 O 0.767 0.278 0.218 1
O39 O 0.799 0.189 0.384 1
O40 O 0.799 0.311 0.884 1
O41 O 0.834 0.596 0.461 1
O42 O 0.834 0.904 0.961 1
O43 O 0.884 0.559 0.794 1
O44 O 0.884 0.941 0.294 1
O45 O 0.934 0.220 0.538 1
O46 O 0.934 0.280 0.038 1
O47 O 0.935 0.116 0.827 1
O48 O 0.935 0.384 0.327 1
# Spin magnetization in μB per formula unit: 0.00
# Formation energy in eV per atom: -2.698
# Relative energy among the computed polymorphs in eV/atom: 0.0050

***

4.
# K3Li3P6O19, relaxed, DFT PBE
data_K3Li3P6O19
_chemical_formula_sum 'K6 Li6 P12 O38'
_cell_length_a 9.828
_cell_length_b 9.828
_cell_length_c 9.828
_cell_angle_alpha 101.87
_cell_angle_beta 101.87
_cell_angle_gamma 101.87
_space_group_name_H-M_alt 'P 1'
_space_group_IT_number 1
_space_group_name_Hall 'P 1'
loop_
_atom_site_label
_atom_site_type_symbol
_atom_site_fract_x
_atom_site_fract_y
_atom_site_fract_z
_atom_site_occupancy
K1 K 0.030 0.441 0.284 1
K2 K 0.284 0.030 0.441 1
K3 K 0.441 0.284 0.030 1
K4 K 0.559 0.716 0.970 1
K5 K 0.716 0.970 0.559 1
K6 K 0.970 0.559 0.716 1
Li1 Li 0.016 0.771 0.482 1
Li2 Li 0.229 0.518 0.984 1
Li3 Li 0.482 0.016 0.771 1
Li4 Li 0.518 0.984 0.229 1
Li5 Li 0.771 0.482 0.016 1
Li6 Li 0.984 0.229 0.518 1
P1 P 0.003 0.769 0.142 1
P2 P 0.142 0.003 0.769 1
P3 P 0.231 0.858 0.997 1
P4 P 0.304 0.426 0.668 1
P5 P 0.332 0.696 0.574 1
P6 P 0.426 0.668 0.304 1
P7 P 0.574 0.332 0.696 1
P8 P 0.668 0.304 0.426 1
P9 P 0.696 0.574 0.332 1
P10 P 0.769 0.142 0.003 1
P11 P 0.858 0.997 0.231 1
P12 P 0.997 0.231 0.858 1
O1 O 0.023 0.941 0.633 1
O2 O 0.052 0.762 0.295 1
O3 O 0.059 0.367 0.977 1
O4 O 0.113 0.137 0.874 1
O5 O 0.126 0.887 0.863 1
O6 O 0.137 0.874 0.113 1
O7 O 0.165 0.371 0.552 1
O8 O 0.179 0.693 0.570 1
O9 O 0.238 0.705 0.948 1
O10 O 0.244 0.244 0.244 1
O11 O 0.295 0.052 0.762 1
O12 O 0.307 0.430 0.821 1
O13 O 0.335 0.615 0.413 1
O14 O 0.367 0.977 0.059 1
O15 O 0.371 0.552 0.165 1
O16 O 0.385 0.587 0.665 1
O17 O 0.413 0.335 0.615 1
O18 O 0.430 0.821 0.307 1
O19 O 0.448 0.835 0.629 1
O20 O 0.552 0.165 0.371 1
O21 O 0.570 0.179 0.693 1
O22 O 0.587 0.665 0.385 1
O23 O 0.615 0.413 0.335 1
O24 O 0.629 0.448 0.835 1
O25 O 0.633 0.023 0.941 1
O26 O 0.665 0.385 0.587 1
O27 O 0.693 0.570 0.179 1
O28 O 0.705 0.948 0.238 1
O29 O 0.756 0.756 0.756 1
O30 O 0.762 0.295 0.052 1
O31 O 0.821 0.307 0.430 1
O32 O 0.835 0.629 0.448 1
O33 O 0.863 0.126 0.887 1
O34 O 0.874 0.113 0.137 1
O35 O 0.887 0.863 0.126 1
O36 O 0.941 0.633 0.023 1
O37 O 0.948 0.238 0.705 1
O38 O 0.977 0.059 0.367 1
# Spin magnetization in μB per formula unit: 2.00
# Formation energy in eV per atom: -2.530

***

5.
# KLiSbP2O8, relaxed, DFT PBE
data_KLiSbP2O8
_chemical_formula_sum 'K3 Li3 Sb3 P6 O24'
_cell_length_a 5.040
_cell_length_b 8.606
_cell_length_c 13.217
_cell_angle_alpha 71.89
_cell_angle_beta 79.02
_cell_angle_gamma 89.85
_space_group_name_H-M_alt 'P 1'
_space_group_IT_number 1
_space_group_name_Hall 'P 1'
loop_
_atom_site_label
_atom_site_type_symbol
_atom_site_fract_x
_atom_site_fract_y
_atom_site_fract_z
_atom_site_occupancy
K1 K 0.000 0.000 0.000 1
K2 K 0.308 0.661 0.343 1
K3 K 0.635 0.372 0.689 1
Li1 Li 0.112 0.109 0.746 1
Li2 Li 0.787 0.421 0.426 1
Li3 Li 0.842 0.905 0.246 1
Sb1 Sb 0.152 0.818 0.664 1
Sb2 Sb 0.479 0.498 0.010 1
Sb3 Sb 0.815 0.161 0.343 1
P1 P 0.060 0.430 0.855 1
P2 P 0.231 0.243 0.517 1
P3 P 0.405 0.100 0.170 1
P4 P 0.563 0.888 0.833 1
P5 P 0.725 0.751 0.502 1
P6 P 0.903 0.571 0.165 1
O1 O 0.057 0.275 0.823 1
O2 O 0.087 0.072 0.597 1
O3 O 0.091 0.110 0.194 1
O4 O 0.107 0.301 0.413 1
O5 O 0.181 0.362 0.583 1
O6 O 0.193 0.399 0.958 1
O7 O 0.198 0.514 0.135 1
O8 O 0.224 0.573 0.760 1
O9 O 0.414 0.724 0.920 1
O10 O 0.431 0.811 0.524 1
O11 O 0.432 0.923 0.730 1
O12 O 0.488 0.970 0.117 1
O13 O 0.516 0.032 0.875 1
O14 O 0.516 0.055 0.279 1
O15 O 0.540 0.223 0.482 1
O16 O 0.548 0.275 0.099 1
O17 O 0.716 0.597 0.469 1
O18 O 0.747 0.436 0.267 1
O19 O 0.760 0.480 0.884 1
O20 O 0.764 0.596 0.064 1
O21 O 0.840 0.714 0.608 1
O22 O 0.874 0.866 0.804 1
O23 O 0.898 0.886 0.404 1
O24 O 0.921 0.729 0.192 1
# Spin magnetization in μB per formula unit: 0.33
# Formation energy in eV per atom: -2.444

***

6.
# K4Li5Ti8P8O40, relaxed, DFT PBE
data_K4Li5Ti8P8O40
_chemical_formula_sum 'K4 Li5 Ti8 P8 O40'
_cell_length_a 6.483
_cell_length_b 10.641
_cell_length_c 12.860
_cell_angle_alpha 89.49
_cell_angle_beta 89.94
_cell_angle_gamma 89.83
_space_group_name_H-M_alt 'P 1'
_space_group_IT_number 1
_space_group_name_Hall 'P 1'
loop_
_atom_site_label
_atom_site_type_symbol
_atom_site_fract_x
_atom_site_fract_y
_atom_site_fract_z
_atom_site_occupancy
K1 K 0.000 0.000 0.000 1
K2 K 0.228 0.998 0.497 1
K3 K 0.482 0.474 0.669 1
K4 K 0.729 0.497 0.184 1
Li1 Li 0.297 0.392 0.196 1
Li2 Li 0.428 0.900 0.987 1
Li3 Li 0.633 0.677 0.846 1
Li4 Li 0.796 0.891 0.483 1
Li5 Li 0.933 0.391 0.694 1
Ti1 Ti 0.117 0.661 0.841 1
Ti2 Ti 0.117 0.662 0.342 1
Ti3 Ti 0.364 0.412 0.955 1
Ti4 Ti 0.367 0.912 0.224 1
Ti5 Ti 0.612 0.162 0.838 1
Ti6 Ti 0.618 0.162 0.337 1
Ti7 Ti 0.865 0.912 0.724 1
Ti8 Ti 0.867 0.410 0.455 1
P1 P 0.022 0.659 0.591 1
P2 P 0.207 0.660 0.090 1
P3 P 0.364 0.410 0.405 1
P4 P 0.370 0.910 0.774 1
P5 P 0.522 0.160 0.089 1
P6 P 0.706 0.159 0.589 1
P7 P 0.863 0.412 0.906 1
P8 P 0.864 0.911 0.273 1
O1 O 0.054 0.939 0.205 1
O2 O 0.057 0.390 0.972 1
O3 O 0.063 0.648 0.187 1
O4 O 0.066 0.672 0.992 1
O5 O 0.163 0.671 0.493 1
O6 O 0.167 0.647 0.687 1
O7 O 0.176 0.384 0.477 1
O8 O 0.177 0.933 0.708 1
O9 O 0.321 0.521 0.327 1
O10 O 0.321 0.785 0.316 1
O11 O 0.340 0.538 0.087 1
O12 O 0.341 0.781 0.094 1
O13 O 0.347 0.545 0.862 1
O14 O 0.348 0.795 0.851 1
O15 O 0.388 0.281 0.083 1
O16 O 0.389 0.039 0.092 1
O17 O 0.402 0.299 0.329 1
O18 O 0.406 0.038 0.314 1
O19 O 0.407 0.020 0.852 1
O20 O 0.410 0.288 0.863 1
O21 O 0.554 0.437 0.472 1
O22 O 0.557 0.886 0.703 1
O23 O 0.564 0.147 0.492 1
O24 O 0.565 0.173 0.686 1
O25 O 0.663 0.173 0.186 1
O26 O 0.667 0.148 0.992 1
O27 O 0.675 0.886 0.203 1
O28 O 0.676 0.437 0.976 1
O29 O 0.821 0.286 0.363 1
O30 O 0.822 0.020 0.352 1
O31 O 0.824 0.037 0.814 1
O32 O 0.828 0.301 0.828 1
O33 O 0.841 0.038 0.593 1
O34 O 0.841 0.280 0.584 1
O35 O 0.889 0.537 0.589 1
O36 O 0.889 0.780 0.596 1
O37 O 0.890 0.527 0.829 1
O38 O 0.891 0.779 0.817 1
O39 O 0.902 0.799 0.351 1
O40 O 0.905 0.539 0.365 1
# Spin magnetization in μB per formula unit: 1.01
# Formation energy in eV per atom: -2.994

***

7.
# KLiZnP2O7, relaxed, DFT PBE
data_KLiZnP2O7
_chemical_formula_sum 'K4 Li4 Zn4 P8 O28'
_cell_length_a 12.600
_cell_length_b 5.158
_cell_length_c 10.442
_cell_angle_alpha 90.00
_cell_angle_beta 90.00
_cell_angle_gamma 90.00
_space_group_name_H-M_alt 'P 1'
_space_group_IT_number 1
_space_group_name_Hall 'P 1'
loop_
_atom_site_label
_atom_site_type_symbol
_atom_site_fract_x
_atom_site_fract_y
_atom_site_fract_z
_atom_site_occupancy
K1 K 0.000 0.002 0.000 1
K2 K 0.000 0.998 0.500 1
K3 K 0.500 0.491 0.266 1
K4 K 0.500 0.509 0.766 1
Li1 Li 0.250 0.462 0.984 1
Li2 Li 0.250 0.538 0.484 1
Li3 Li 0.750 0.462 0.984 1
Li4 Li 0.750 0.538 0.484 1
Zn1 Zn 0.249 0.032 0.283 1
Zn2 Zn 0.249 0.968 0.783 1
Zn3 Zn 0.751 0.032 0.283 1
Zn4 Zn 0.751 0.968 0.783 1
P1 P 0.117 0.481 0.729 1
P2 P 0.117 0.519 0.229 1
P3 P 0.382 0.035 0.534 1
P4 P 0.382 0.965 0.034 1
P5 P 0.618 0.035 0.534 1
P6 P 0.618 0.965 0.034 1
P7 P 0.883 0.481 0.729 1
P8 P 0.883 0.519 0.229 1
O1 O 0.000 0.445 0.285 1
O2 O 0.000 0.555 0.785 1
O3 O 0.126 0.184 0.742 1
O4 O 0.126 0.816 0.242 1
O5 O 0.127 0.419 0.093 1
O6 O 0.127 0.581 0.593 1
O7 O 0.193 0.382 0.324 1
O8 O 0.193 0.618 0.824 1
O9 O 0.307 0.116 0.943 1
O10 O 0.307 0.884 0.443 1
O11 O 0.373 0.070 0.172 1
O12 O 0.373 0.326 0.523 1
O13 O 0.373 0.674 0.023 1
O14 O 0.373 0.930 0.672 1
O15 O 0.500 0.055 0.985 1
O16 O 0.500 0.945 0.485 1
O17 O 0.627 0.070 0.172 1
O18 O 0.627 0.326 0.523 1
O19 O 0.627 0.674 0.023 1
O20 O 0.627 0.930 0.672 1
O21 O 0.693 0.116 0.943 1
O22 O 0.693 0.884 0.443 1
O23 O 0.807 0.382 0.324 1
O24 O 0.807 0.618 0.824 1
O25 O 0.873 0.419 0.093 1
O26 O 0.873 0.581 0.593 1
O27 O 0.874 0.184 0.742 1
O28 O 0.874 0.816 0.242 1
# Spin magnetization in μB per formula unit: 0.00
# Formation energy in eV per atom: -2.615

***

Asked for E across the records above, the calculation gives -3.91; -6.64; -6.64; -6.48; -6.45; -7.47; -6.36 eV/atom in order.